1.
Computed, not measured: a geometry-optimized NaNp2F9 structure at the r²SCAN level of DFT.

Structure (POSCAR):
```
NaNp2F9
1.0
6.875 0.000 0.000
0.000 8.602 0.000
0.000 0.000 11.013
F Na Np
36 4 8
direct
0.207 0.572 0.418
0.365 0.795 0.613
0.419 0.500 0.895
0.919 0.000 0.105
0.487 0.802 0.397
0.135 0.295 0.887
0.987 0.698 0.897
0.987 0.698 0.603
0.207 0.572 0.082
0.081 0.000 0.895
0.635 0.205 0.113
0.513 0.198 0.603
0.665 0.669 0.750
0.581 0.500 0.395
0.513 0.198 0.897
0.165 0.831 0.250
0.919 0.000 0.395
0.487 0.802 0.103
0.835 0.169 0.750
0.793 0.428 0.582
0.419 0.500 0.605
0.013 0.302 0.397
0.135 0.295 0.613
0.707 0.928 0.918
0.013 0.302 0.103
0.335 0.331 0.250
0.081 0.000 0.605
0.293 0.072 0.418
0.793 0.428 0.918
0.635 0.205 0.387
0.707 0.928 0.582
0.581 0.500 0.105
0.865 0.705 0.113
0.865 0.705 0.387
0.365 0.795 0.887
0.293 0.072 0.082
0.329 0.038 0.750
0.171 0.538 0.750
0.829 0.462 0.250
0.671 0.962 0.250
0.833 0.170 0.548
0.667 0.670 0.952
0.333 0.330 0.048
0.667 0.670 0.548
0.167 0.830 0.452
0.167 0.830 0.048
0.333 0.330 0.452
0.833 0.170 0.952
```

Results
- DFT total energy: -20.35 eV/atom
- Volume: 13.6 A^3/atom
- Total moment: 6.000 μB/f.u.
- ΔH_f (0 K): -46.44 eV/f.u.

=====

2.
Computed, not measured: a geometry-optimized KNa2GaO3 structure at the r²SCAN level of DFT.

Structure (POSCAR):
```
KNa2GaO3
1.0
6.142 0.000 0.000
0.000 6.484 0.000
0.000 0.000 10.127
O Na K Ga
12 8 4 4
direct
0.500 0.500 0.500
0.750 0.328 0.139
0.500 0.000 0.000
0.000 0.000 0.000
0.750 0.282 0.824
0.750 0.828 0.361
0.250 0.718 0.176
0.250 0.218 0.324
0.750 0.782 0.676
0.000 0.500 0.500
0.250 0.172 0.639
0.250 0.672 0.861
0.009 0.991 0.769
0.491 0.491 0.731
0.991 0.509 0.269
0.509 0.509 0.269
0.491 0.991 0.769
0.991 0.009 0.231
0.509 0.009 0.231
0.009 0.491 0.731
0.250 0.341 0.033
0.750 0.659 0.967
0.750 0.159 0.533
0.250 0.841 0.467
0.250 0.830 0.010
0.750 0.670 0.510
0.750 0.170 0.990
0.250 0.330 0.490
```

Results
- DFT total energy: -7.91 eV/atom
- Volume: 14.4 A^3/atom
- Total moment: 0.039 μB/f.u.
- ΔH_f (0 K): -12.85 eV/f.u.

=====

3.
Computed, not measured: a geometry-optimized Tb16B4Br23 structure at the r²SCAN level of DFT.

Structure (POSCAR):
```
Tb16B4Br23
1.0
6.037 8.829 -0.023
-6.037 8.829 -0.023
0.000 2.955 11.666
B Br Tb
4 23 16
direct
0.329 0.671 0.000
0.333 0.333 0.228
0.671 0.329 0.000
0.667 0.667 0.772
0.673 0.999 0.224
0.000 0.341 0.442
0.332 0.332 0.886
0.665 0.665 0.448
0.013 0.013 0.311
0.339 0.670 0.337
0.330 0.661 0.663
0.001 0.327 0.776
0.670 0.339 0.337
0.000 0.659 0.558
0.659 0.000 0.558
0.341 0.999 0.442
0.999 0.673 0.224
0.340 0.003 0.106
0.987 0.987 0.689
0.003 0.340 0.106
0.997 0.660 0.894
0.327 0.001 0.776
0.668 0.668 0.114
0.335 0.335 0.552
0.661 0.330 0.663
0.000 0.000 0.000
0.660 0.997 0.894
0.499 0.798 0.938
0.195 0.809 0.152
0.495 0.494 0.150
0.190 0.486 0.372
0.805 0.191 0.848
0.809 0.195 0.152
0.202 0.501 0.062
0.810 0.514 0.628
0.501 0.202 0.062
0.506 0.506 0.850
0.812 0.812 0.726
0.486 0.190 0.372
0.514 0.810 0.628
0.191 0.805 0.848
0.798 0.499 0.938
0.188 0.188 0.274
```

Results
- DFT total energy: -21.14 eV/atom
- Volume: 28.9 A^3/atom
- Total moment: 1.076 μB/f.u.
- ΔH_f (0 K): -74.94 eV/f.u.